Crystalline KSb2Te2H2O4 at its relaxed geometry, computed with PBE.

Cell and atoms, written as CIF:
```
data_KSb2Te2H2O4
_chemical_formula_sum 'K6 Sb12 Te12 H12 O24'
_cell_length_a 5.831
_cell_length_b 16.160
_cell_length_c 16.160
_cell_angle_alpha 118.57
_cell_angle_beta 96.91
_cell_angle_gamma 96.91
_space_group_name_H-M_alt 'P 1'
_space_group_IT_number 1
loop_
_space_group_symop_operation_xyz
'x,y,z'
loop_
_atom_site_label
_atom_site_fract_x
_atom_site_fract_y
_atom_site_fract_z
_atom_site_occupancy
Sb1 0.016 0.630 0.654 1
H1 0.255 0.953 0.153 1
Sb2 0.042 0.819 0.585 1
O1 0.873 0.112 0.128 1
Sb3 0.386 0.024 0.370 1
H2 0.864 0.064 0.949 1
K1 0.417 0.180 0.251 1
H3 0.136 0.936 0.051 1
O2 0.940 0.755 0.087 1
Te1 0.537 0.575 0.478 1
O3 0.438 0.753 0.088 1
O4 0.562 0.247 0.912 1
Te2 0.505 0.755 0.397 1
K2 0.834 0.251 0.071 1
Te3 0.892 0.397 0.642 1
K3 0.763 0.929 0.180 1
O5 0.255 0.128 0.016 1
H4 0.103 0.847 0.800 1
O6 0.351 0.912 0.666 1
O7 0.745 0.872 0.984 1
O8 0.060 0.245 0.913 1
Te4 0.108 0.603 0.358 1
Sb4 0.456 0.415 0.234 1
O9 0.927 0.232 0.319 1
O10 0.761 0.016 0.888 1
Sb5 0.362 0.346 0.976 1
H5 0.698 0.800 0.953 1
O11 0.608 0.681 0.913 1
Te5 0.941 0.478 0.903 1
H6 0.745 0.047 0.847 1
Te6 0.962 0.903 0.425 1
H7 0.800 0.885 0.936 1
Sb6 0.638 0.654 0.024 1
O12 0.315 0.666 0.753 1
O13 0.073 0.768 0.681 1
Sb7 0.958 0.181 0.415 1
Te7 0.463 0.425 0.522 1
Sb8 0.984 0.370 0.346 1
Te8 0.038 0.097 0.575 1
K4 0.166 0.749 0.929 1
O14 0.148 0.087 0.332 1
H8 0.200 0.115 0.064 1
Te9 0.750 0.642 0.245 1
H9 0.914 0.051 0.115 1
Sb9 0.222 0.766 0.181 1
Sb10 0.544 0.585 0.766 1
O15 0.815 0.668 0.755 1
O16 0.239 0.984 0.112 1
Te10 0.250 0.358 0.755 1
O17 0.392 0.319 0.087 1
O18 0.685 0.334 0.247 1
K5 0.237 0.071 0.820 1
O19 0.306 0.913 0.232 1
Te11 0.059 0.522 0.097 1
H10 0.897 0.153 0.200 1
H11 0.302 0.200 0.047 1
K6 0.583 0.820 0.749 1
O20 0.185 0.332 0.245 1
Sb11 0.778 0.234 0.819 1
Sb12 0.614 0.976 0.630 1
O21 0.127 0.888 0.872 1
Te12 0.495 0.245 0.603 1
O22 0.694 0.087 0.768 1
O23 0.852 0.913 0.668 1
H12 0.086 0.949 0.885 1
O24 0.649 0.088 0.334 1
```

Properties
Size of the total moment ... 0.011 μB/f.u.
ρ ... 4.63 g/cm3
Energy relative to the elements ... -1.32 eV/atom
Final energy ... -4.907 eV/atom